Entry 1:
Density functional theory data (PBE-GGA) for a geometry-optimized Mg149V structure. Values from VASP.

Cell and atoms, written as Quantum ESPRESSO input:
```
&SYSTEM
  ibrav = 0, nat = 150, ntyp = 2
/
ATOMIC_SPECIES
Mg 24.30 Mg.upf
V 50.94 V.upf
CELL_PARAMETERS angstrom
15.911 0.000 0.000
-7.956 13.779 0.000
0.000 0.000 15.592
ATOMIC_POSITIONS crystal
Mg 0.000 0.000 0.000
Mg 0.000 0.000 0.334
Mg 0.000 0.000 0.666
Mg 0.000 0.200 0.000
Mg 0.000 0.200 0.333
Mg 0.000 0.200 0.667
Mg 0.000 0.400 0.000
Mg 0.000 0.600 0.000
Mg 0.000 0.800 0.000
Mg 0.000 0.800 0.333
Mg 0.000 0.800 0.667
Mg 0.001 0.401 0.334
Mg 0.001 0.401 0.666
Mg 0.001 0.600 0.334
Mg 0.001 0.600 0.666
Mg 0.133 0.267 0.167
Mg 0.133 0.267 0.833
Mg 0.133 0.867 0.167
Mg 0.133 0.867 0.833
Mg 0.134 0.067 0.167
Mg 0.134 0.067 0.500
Mg 0.134 0.067 0.833
Mg 0.134 0.267 0.500
Mg 0.134 0.467 0.168
Mg 0.134 0.467 0.832
Mg 0.134 0.666 0.168
Mg 0.134 0.666 0.832
Mg 0.134 0.866 0.500
Mg 0.138 0.471 0.500
Mg 0.138 0.667 0.500
Mg 0.200 0.000 0.000
Mg 0.200 0.000 0.333
Mg 0.200 0.000 0.667
Mg 0.200 0.200 0.000
Mg 0.200 0.200 0.333
Mg 0.200 0.200 0.667
Mg 0.200 0.399 0.334
Mg 0.200 0.399 0.666
Mg 0.200 0.400 0.000
Mg 0.200 0.600 0.000
Mg 0.200 0.800 0.000
Mg 0.200 0.800 0.334
Mg 0.200 0.800 0.666
Mg 0.203 0.601 0.338
Mg 0.203 0.601 0.662
Mg 0.333 0.065 0.500
Mg 0.333 0.066 0.167
Mg 0.333 0.066 0.833
Mg 0.333 0.267 0.167
Mg 0.333 0.267 0.833
Mg 0.333 0.268 0.500
Mg 0.333 0.471 0.500
Mg 0.333 0.667 0.167
Mg 0.333 0.667 0.833
Mg 0.333 0.862 0.500
Mg 0.334 0.467 0.168
Mg 0.334 0.467 0.832
Mg 0.334 0.866 0.168
Mg 0.334 0.866 0.832
Mg 0.399 0.200 0.000
Mg 0.399 0.601 0.338
Mg 0.399 0.601 0.662
Mg 0.399 0.797 0.338
Mg 0.399 0.797 0.662
Mg 0.400 0.000 0.000
Mg 0.400 0.200 0.334
Mg 0.400 0.200 0.666
Mg 0.400 0.400 0.000
Mg 0.400 0.401 0.334
Mg 0.400 0.401 0.666
Mg 0.400 0.600 0.000
Mg 0.400 0.800 0.000
Mg 0.400 0.999 0.334
Mg 0.400 0.999 0.666
Mg 0.529 0.667 0.500
Mg 0.529 0.862 0.500
Mg 0.533 0.066 0.500
Mg 0.533 0.067 0.167
Mg 0.533 0.067 0.833
Mg 0.533 0.267 0.167
Mg 0.533 0.267 0.500
Mg 0.533 0.267 0.833
Mg 0.533 0.467 0.167
Mg 0.533 0.467 0.500
Mg 0.533 0.467 0.833
Mg 0.533 0.666 0.168
Mg 0.533 0.666 0.832
Mg 0.533 0.866 0.168
Mg 0.533 0.866 0.832
Mg 0.599 0.600 0.334
Mg 0.599 0.600 0.666
Mg 0.599 0.999 0.334
Mg 0.599 0.999 0.666
Mg 0.600 0.000 0.000
Mg 0.600 0.200 0.000
Mg 0.600 0.200 0.333
Mg 0.600 0.200 0.667
Mg 0.600 0.400 0.000
Mg 0.600 0.400 0.333
Mg 0.600 0.400 0.667
Mg 0.600 0.600 0.000
Mg 0.600 0.800 0.000
Mg 0.601 0.800 0.334
Mg 0.601 0.800 0.666
Mg 0.732 0.065 0.500
Mg 0.732 0.667 0.500
Mg 0.733 0.066 0.167
Mg 0.733 0.066 0.833
Mg 0.733 0.267 0.167
Mg 0.733 0.267 0.500
Mg 0.733 0.267 0.833
Mg 0.733 0.467 0.167
Mg 0.733 0.467 0.500
Mg 0.733 0.467 0.833
Mg 0.733 0.667 0.167
Mg 0.733 0.667 0.833
Mg 0.733 0.866 0.500
Mg 0.733 0.867 0.167
Mg 0.733 0.867 0.833
Mg 0.800 0.000 0.000
Mg 0.800 0.000 0.333
Mg 0.800 0.000 0.667
Mg 0.800 0.200 0.000
Mg 0.800 0.200 0.334
Mg 0.800 0.200 0.666
Mg 0.800 0.400 0.000
Mg 0.800 0.400 0.333
Mg 0.800 0.400 0.667
Mg 0.800 0.600 0.334
Mg 0.800 0.600 0.666
Mg 0.800 0.601 0.000
Mg 0.800 0.800 0.000
Mg 0.800 0.800 0.333
Mg 0.800 0.800 0.667
Mg 0.933 0.067 0.167
Mg 0.933 0.067 0.500
Mg 0.933 0.067 0.833
Mg 0.933 0.467 0.167
Mg 0.933 0.467 0.833
Mg 0.933 0.866 0.167
Mg 0.933 0.866 0.500
Mg 0.933 0.866 0.833
Mg 0.934 0.267 0.167
Mg 0.934 0.267 0.833
Mg 0.934 0.467 0.500
Mg 0.934 0.667 0.167
Mg 0.934 0.667 0.833
Mg 0.935 0.268 0.500
Mg 0.935 0.667 0.500
V 0.333 0.667 0.500
```

Properties
Total energy, eV per cell: -250.30
Symmetry: P-6m2
Energy of formation from the pure elements, meV per atom: -18

=====

Entry 2:
Density functional theory data (PBE-GGA) for a geometry-optimized Mg3V structure. Values from VASP.

Cell and atoms, written as Quantum ESPRESSO input:
```
&SYSTEM
  ibrav = 0, nat = 16, ntyp = 2
/
ATOMIC_SPECIES
Mg 24.30 Mg.upf
V 50.94 V.upf
CELL_PARAMETERS angstrom
6.878 0.000 0.000
0.000 6.878 0.000
0.000 0.000 6.878
ATOMIC_POSITIONS crystal
Mg 0.000 0.000 0.000
Mg 0.000 0.500 0.500
Mg 0.250 0.250 0.250
Mg 0.250 0.250 0.750
Mg 0.250 0.750 0.250
Mg 0.250 0.750 0.750
Mg 0.500 0.000 0.500
Mg 0.500 0.500 0.000
Mg 0.750 0.250 0.250
Mg 0.750 0.250 0.750
Mg 0.750 0.750 0.250
Mg 0.750 0.750 0.750
V 0.000 0.000 0.500
V 0.000 0.500 0.000
V 0.500 0.000 0.000
V 0.500 0.500 0.500
```

Properties
Total energy, eV per cell: -50.47
Symmetry: Fm-3m
Energy of formation from the pure elements, meV per atom: 317

=====

Q: total energy of number 1 (Mg149V)?
A: -250.30 eV per cell

=====

Q: What is the formula in the first record?
A: Mg149V

=====

Q: Among the records above, which one has the highest energy of formation from the pure elements?
A: Mg3V

=====

Q: Which of these has the highest total energy?
A: Mg3V